1.
VASP calculation (PBE+U) on an optimized crystal structure of Ca5Nb4Co2O18.

Structure (CIF):
```
data_Ca5Nb4Co2O18
_chemical_formula_sum 'Ca10 Nb8 Co4 O36'
_cell_length_a 9.6228
_cell_length_b 5.4725
_cell_length_c 16.7102
_cell_angle_alpha 90.00
_cell_angle_beta 124.64
_cell_angle_gamma 90.00
_space_group_name_H-M_alt 'P 1'
_space_group_IT_number 1
_space_group_name_Hall 'P 1'
loop_
_atom_site_label
_atom_site_type_symbol
_atom_site_fract_x
_atom_site_fract_y
_atom_site_fract_z
_atom_site_occupancy
Ca1 Ca 0.0000 0.2265 0.0000 1
Ca2 Ca 0.0000 0.7735 0.5000 1
Ca3 Ca 0.0948 0.2551 0.7964 1
Ca4 Ca 0.0948 0.7449 0.2964 1
Ca5 Ca 0.3204 0.2430 0.6598 1
Ca6 Ca 0.3204 0.7570 0.1598 1
Ca7 Ca 0.4259 0.2624 0.4683 1
Ca8 Ca 0.4259 0.7376 0.9683 1
Ca9 Ca 0.7572 0.2674 0.1320 1
Ca10 Ca 0.7572 0.7326 0.6320 1
Nb1 Nb 0.0341 0.2608 0.4009 1
Nb2 Nb 0.0341 0.7392 0.9009 1
Nb3 Nb 0.2068 0.2521 0.2288 1
Nb4 Nb 0.2068 0.7479 0.7288 1
Nb5 Nb 0.5571 0.2375 0.9008 1
Nb6 Nb 0.5571 0.7625 0.4008 1
Nb7 Nb 0.7021 0.2353 0.7273 1
Nb8 Nb 0.7021 0.7647 0.2273 1
Co1 Co 0.3770 0.2469 0.0628 1
Co2 Co 0.3770 0.7531 0.5628 1
Co3 Co 0.8633 0.2582 0.5603 1
Co4 Co 0.8633 0.7418 0.0603 1
O1 O 0.0031 0.4519 0.1538 1
O2 O 0.0031 0.5481 0.6538 1
O3 O 0.0900 0.0499 0.6503 1
O4 O 0.0900 0.9501 0.1503 1
O5 O 0.1481 0.1638 0.3256 1
O6 O 0.1481 0.8362 0.8256 1
O7 O 0.1996 0.4535 0.9526 1
O8 O 0.1996 0.5465 0.4526 1
O9 O 0.2235 0.0503 0.5109 1
O10 O 0.2235 0.9497 0.0109 1
O11 O 0.2748 0.3328 0.1399 1
O12 O 0.2748 0.6672 0.6399 1
O13 O 0.3394 0.4655 0.8191 1
O14 O 0.3394 0.5345 0.3191 1
O15 O 0.4148 0.0272 0.3163 1
O16 O 0.4148 0.9728 0.8163 1
O17 O 0.4772 0.1679 0.9887 1
O18 O 0.4772 0.8321 0.4887 1
O19 O 0.5364 0.4551 0.6219 1
O20 O 0.5364 0.5449 0.1219 1
O21 O 0.5533 0.0388 0.1708 1
O22 O 0.5533 0.9612 0.6708 1
O23 O 0.6140 0.3248 0.8079 1
O24 O 0.6140 0.6752 0.3079 1
O25 O 0.6720 0.4517 0.4911 1
O26 O 0.6720 0.5483 0.9911 1
O27 O 0.7634 0.0642 0.9897 1
O28 O 0.7634 0.9358 0.4897 1
O29 O 0.8108 0.1561 0.6588 1
O30 O 0.8108 0.8439 0.1588 1
O31 O 0.8751 0.4604 0.2851 1
O32 O 0.8751 0.5396 0.7851 1
O33 O 0.9052 0.0556 0.8462 1
O34 O 0.9052 0.9444 0.3462 1
O35 O 0.9575 0.3415 0.4806 1
O36 O 0.9575 0.6585 0.9806 1
```

Summary:
**Calculated formation energy**: -2.883 eV per atom
**Uncorrected energy**: -443.34 eV per cell
**M_tot**: 0.00 μB per formula unit

---

2.
VASP calculation (PBE+U) on an optimized crystal structure of CaNdCo4O12.

Structure (CIF):
```
data_CaNdCo4O12
_chemical_formula_sum 'Ca1 Nd1 Co4 O12'
_cell_length_a 7.5239
_cell_length_b 5.3033
_cell_length_c 5.3033
_cell_angle_alpha 89.51
_cell_angle_beta 90.00
_cell_angle_gamma 90.00
_space_group_name_H-M_alt 'P 1'
_space_group_IT_number 1
_space_group_name_Hall 'P 1'
loop_
_atom_site_label
_atom_site_type_symbol
_atom_site_fract_x
_atom_site_fract_y
_atom_site_fract_z
_atom_site_occupancy
Ca1 Ca 0.0000 0.0000 0.0000 1
Nd1 Nd 0.5000 0.5134 0.5134 1
Co1 Co 0.2460 0.0064 0.5030 1
Co2 Co 0.2460 0.5030 0.0064 1
Co3 Co 0.7540 0.0064 0.5030 1
Co4 Co 0.7540 0.5030 0.0064 1
O1 O 0.0000 0.0236 0.4829 1
O2 O 0.0000 0.4829 0.0236 1
O3 O 0.2367 0.7406 0.7406 1
O4 O 0.2514 0.2442 0.7693 1
O5 O 0.2514 0.7693 0.2442 1
O6 O 0.2732 0.2787 0.2787 1
O7 O 0.5000 0.5191 0.9837 1
O8 O 0.5000 0.9837 0.5191 1
O9 O 0.7268 0.2787 0.2787 1
O10 O 0.7486 0.2442 0.7693 1
O11 O 0.7486 0.7693 0.2442 1
O12 O 0.7633 0.7406 0.7406 1
```

Summary:
**Calculated formation energy**: -1.397 eV per atom
**Uncorrected energy**: -104.92 eV per cell
**M_tot**: 15.25 μB per formula unit